DFT (GGA+U) results for Ba2MgCoMoO6 after structural relaxation.

Geometry as POSCAR:
```
Ba2MgCoMoO6
1.0
5.890 0.000 0.000
2.917 5.217 0.000
0.234 3.103 5.490
Ba Mg Co Mo O
2 1 1 1 6
Direct
0.000 0.000 0.000
0.424 0.126 0.358
0.776 0.445 0.390
0.631 0.727 0.907
0.207 0.574 0.677
0.004 0.503 0.963
0.410 0.630 0.411
0.426 0.102 0.832
0.496 0.490 0.932
0.925 0.648 0.435
0.999 0.031 0.544
```

Calculated values
E = -69.94 eV for the cell shown
Space group = P1, No. 1
Size of the total moment = 1.00 Bohr magnetons per cell